Record 1
This record from the Materials Project database describes CsH3S2O8 after structural relaxation. The functional is PBE.

Properties
Total magnetic moment = 0.00 μB/cell
Space group = P2_1/c, No. 14
E_tot = -5.59 eV/atom
Calculated formation energy = -1.769 eV/atom

a = 7.8942 Å, b = 8.3313 Å, c = 13.0007 Å
α = 90.00°, β = 90.00°, γ = 90.35°
With the nearest neighbours (Å) after each atom.
Fractional coordinates of all 56 atoms:
O 0.2211 0.0662 0.1937  1 S 1.44
O 0.3010 0.5558 0.4833  1 H 1.02
O 0.1129 0.2756 0.0738  1 S 1.44
O 0.3841 0.7597 0.6265  1 S 1.47, 1 H 1.60
O 0.1060 0.2079 0.7935  1 H 1.02
O 0.4031 0.2846 0.1244  1 H 1.05
O 0.7789 0.4338 0.6937  1 S 1.44
O 0.1843 0.9765 0.6641  1 S 1.47, 1 H 1.62
O 0.6159 0.7403 0.1265  1 S 1.47, 1 H 1.60
O 0.3010 0.0558 0.0167  1 H 1.02
O 0.2211 0.5662 0.3063  1 S 1.44
O 0.1129 0.7756 0.4262  1 S 1.44
O 0.7789 0.9338 0.8063  1 S 1.44
O 0.8871 0.2244 0.5738  1 S 1.44
O 0.8940 0.7921 0.2065  1 H 1.02
O 0.8871 0.7244 0.9262  1 S 1.44
O 0.8157 0.5235 0.1641  1 S 1.47, 1 H 1.62
O 0.8157 0.0235 0.3359  1 S 1.47, 1 H 1.62
O 0.8940 0.2921 0.2935  1 H 1.02
O 0.5969 0.2154 0.6244  1 H 1.05
O 0.5969 0.7154 0.8756  1 H 1.05
O 0.1843 0.4765 0.8359  1 S 1.47, 1 H 1.62
O 0.1060 0.7079 0.7065  1 H 1.02
O 0.6990 0.9442 0.9833  1 H 1.02
O 0.3349 0.3431 0.6959  1 H 1.47, 1 S 1.47
O 0.3349 0.8431 0.8041  1 H 1.47, 1 S 1.47
O 0.6651 0.6569 0.3041  1 H 1.47, 1 S 1.47
O 0.4031 0.7846 0.3756  1 H 1.05
O 0.6651 0.1569 0.1959  1 H 1.47, 1 S 1.47
O 0.6990 0.4442 0.5167  1 H 1.02
O 0.3841 0.2597 0.8735  1 S 1.47, 1 H 1.60
O 0.6159 0.2403 0.3735  1 S 1.47, 1 H 1.60
H 0.4924 0.2705 0.6589  1 O 1.05
H 0.6698 0.8771 0.0469  1 O 1.02
H 0.1305 0.6127 0.7531  1 O 1.02
H 0.5076 0.2295 0.1589  1 O 1.05
H 0.4924 0.7705 0.8411  1 O 1.05
H 0.8695 0.8873 0.2531  1 O 1.02
H 0.1305 0.1127 0.7469  1 O 1.02
H 0.3302 0.1229 0.9531  1 O 1.02
H 0.8695 0.3873 0.2469  1 O 1.02
H 0.5076 0.7295 0.3411  1 O 1.05
H 0.3302 0.6229 0.5469  1 O 1.02
H 0.6698 0.3771 0.4531  1 O 1.02
Cs 0.2158 0.1638 0.4319  9 O 3.20-3.59
Cs 0.7842 0.3362 0.9319  9 O 3.20-3.59
Cs 0.2158 0.6638 0.0681  9 O 3.20-3.59
Cs 0.7842 0.8362 0.5681  9 O 3.20-3.59
S 0.7381 0.6730 0.2003  4 O 1.47-1.58
S 0.7525 0.3291 0.6072  4 O 1.44-1.58
S 0.2619 0.3270 0.7997  4 O 1.47-1.58
S 0.2475 0.1709 0.1072  4 O 1.44-1.58
S 0.7381 0.1730 0.2997  4 O 1.47-1.58
S 0.2475 0.6709 0.3928  4 O 1.44-1.58
S 0.2619 0.8270 0.7003  4 O 1.47-1.58
S 0.7525 0.8291 0.8928  4 O 1.44-1.58

---

Record 2
This record from the Materials Project database describes K3Th after structural relaxation. The functional is PBE.

Properties
Total magnetic moment = 3.78 μB/cell
Space group = Fm-3m, No. 225
E_tot = -1.73 eV/atom
Calculated formation energy = 0.958 eV/atom
Distance to the lowest polymorph of the same formula = 0.003 eV/atom

a = 6.7720 Å, b = 6.7720 Å, c = 6.7720 Å
α = 60.00°, β = 60.00°, γ = 60.00°
With the nearest neighbours (Å) after each atom.
Fractional coordinates of all 4 atoms:
K 0.7500 0.7500 0.7500  4 Th 4.15, 4 K 4.15
K 0.2500 0.2500 0.2500  4 Th 4.15, 4 K 4.15
K 0.5000 0.5000 0.5000  8 K 4.15
Th 0.0000 0.0000 0.0000  8 K 4.15

---

Record 3
This record from the Materials Project database describes CsTaS3 after structural relaxation. The functional is PBE.

Properties
Space group = P6_3mc, No. 186
E_tot = -6.17 eV/atom
Calculated formation energy = -1.440 eV/atom

a = 7.4885 Å, b = 7.4885 Å, c = 6.0613 Å
α = 90.00°, β = 90.00°, γ = 120.00°
With the nearest neighbours (Å) after each atom.
Fractional coordinates of all 10 atoms:
S 0.8471 0.1529 0.7465  1 Ta 2.33
S 0.3058 0.1529 0.7465  1 Ta 2.33
S 0.8471 0.6942 0.7465  1 Ta 2.33
S 0.1529 0.8471 0.2465  1 Ta 2.33
S 0.6942 0.8471 0.2465  1 Ta 2.33
S 0.1529 0.3058 0.2465  1 Ta 2.33
Cs 0.3333 0.6667 0.7496  12 S 3.75-3.84
Cs 0.6667 0.3333 0.2496  12 S 3.75-3.84
Ta 0.0000 0.0000 0.0446  3 S 2.33
Ta 0.0000 0.0000 0.5446  3 S 2.33

---

> Look up the E_tot of the second one.

-1.73 eV/atom